Material: Li8Mn7FeB8O24
Method: DFT, PBE+U
State: optimized geometry

Output
ΔH_f (0 K) = -11509 kJ/mol of formula units
space-group type = No. 1
energy with MP2020 corrections = -0.581 Ry/atom
spin magnetization = 0.812 μB/atom

Cell: 5.245 5.251 21.005 Å, 91.04 90.95 119.80°
Fractional coordinates of all 48 atoms:
Li: 0.000 0.000 0.000
Li: 0.000 0.000 0.500
Li: 0.027 0.973 0.250
Li: 0.028 0.972 0.750
Li: 0.330 0.313 0.125
Li: 0.330 0.313 0.625
Li: 0.341 0.302 0.875
Li: 0.341 0.304 0.375
Mn: 0.008 0.647 0.892
Mn: 0.009 0.647 0.391
Mn: 0.356 0.648 0.767
Mn: 0.672 0.977 0.143
Mn: 0.675 0.980 0.642
Mn: 0.676 0.328 0.018
Mn: 0.676 0.328 0.517
Fe: 0.361 0.645 0.268
B: 0.013 0.645 0.147
B: 0.013 0.646 0.646
B: 0.337 0.654 0.021
B: 0.337 0.654 0.521
B: 0.675 0.985 0.395
B: 0.675 0.985 0.896
B: 0.681 0.309 0.771
B: 0.683 0.312 0.271
O: 0.037 0.919 0.154
O: 0.038 0.920 0.653
O: 0.100 0.684 0.000
O: 0.100 0.684 0.500
O: 0.256 0.613 0.162
O: 0.257 0.613 0.661
O: 0.308 0.379 0.028
O: 0.308 0.379 0.528
O: 0.407 0.280 0.778
O: 0.409 0.292 0.278
O: 0.432 0.721 0.875
O: 0.432 0.722 0.374
O: 0.609 0.904 0.036
O: 0.609 0.905 0.536
O: 0.641 0.229 0.911
O: 0.642 0.229 0.411
O: 0.701 0.066 0.252
O: 0.712 0.072 0.750
O: 0.749 0.402 0.125
O: 0.749 0.403 0.625
O: 0.932 0.581 0.786
O: 0.938 0.580 0.285
O: 0.948 0.009 0.403
O: 0.948 0.010 0.903